# 1
{"formula": "In2BiSe4I", "functional": "PBE-GGA", "state": "relaxed", "sg": "Pnma", "cell": [[14.182, 0.000, 0.000], [0.000, 4.191, 0.000], [0.000, 0.000, 17.315]], "species": ["In", "In", "In", "In", "In", "In", "In", "In", "Bi", "Bi", "Bi", "Bi", "Se", "Se", "Se", "Se", "Se", "Se", "Se", "Se", "Se", "Se", "Se", "Se", "Se", "Se", "Se", "Se", "I", "I", "I", "I"], "fractional_positions": [[0.109, 0.250, 0.138], [0.241, 0.750, 0.003], [0.259, 0.250, 0.503], [0.391, 0.750, 0.638], [0.609, 0.250, 0.362], [0.741, 0.750, 0.497], [0.759, 0.250, 0.997], [0.891, 0.750, 0.862], [0.040, 0.750, 0.394], [0.460, 0.250, 0.894], [0.540, 0.750, 0.106], [0.960, 0.250, 0.606], [0.105, 0.750, 0.543], [0.117, 0.250, 0.986], [0.175, 0.250, 0.364], [0.220, 0.750, 0.163], [0.280, 0.250, 0.663], [0.325, 0.750, 0.864], [0.383, 0.750, 0.486], [0.395, 0.250, 0.043], [0.605, 0.750, 0.957], [0.617, 0.250, 0.514], [0.675, 0.250, 0.136], [0.720, 0.750, 0.337], [0.780, 0.250, 0.837], [0.825, 0.750, 0.636], [0.883, 0.750, 0.014], [0.895, 0.250, 0.457], [0.055, 0.750, 0.777], [0.445, 0.250, 0.277], [0.555, 0.750, 0.723], [0.945, 0.250, 0.223]]}

=====

# 2
{"formula": "Si2Bi14IrI12", "functional": "PBE-GGA", "state": "relaxed", "sg": "P4/mcc", "cell": [[10.576, 0.000, 0.000], [0.000, 10.576, 0.000], [0.000, 0.000, 20.744]], "species": ["Si", "Si", "Si", "Si", "Bi", "Bi", "Bi", "Bi", "Bi", "Bi", "Bi", "Bi", "Bi", "Bi", "Bi", "Bi", "Bi", "Bi", "Bi", "Bi", "Bi", "Bi", "Bi", "Bi", "Bi", "Bi", "Bi", "Bi", "Bi", "Bi", "Bi", "Bi", "Ir", "Ir", "I", "I", "I", "I", "I", "I", "I", "I", "I", "I", "I", "I", "I", "I", "I", "I", "I", "I", "I", "I", "I", "I", "I", "I"], "fractional_positions": [[0.000, 0.000, 0.092], [0.000, 0.000, 0.408], [0.000, 0.000, 0.592], [0.000, 0.000, 0.908], [0.085, 0.196, 0.181], [0.085, 0.196, 0.819], [0.085, 0.804, 0.319], [0.085, 0.804, 0.681], [0.196, 0.085, 0.319], [0.196, 0.085, 0.681], [0.196, 0.915, 0.181], [0.196, 0.915, 0.819], [0.251, 0.441, 0.500], [0.251, 0.559, 0.000], [0.441, 0.251, 0.000], [0.441, 0.749, 0.500], [0.500, 0.500, 0.130], [0.500, 0.500, 0.370], [0.500, 0.500, 0.630], [0.500, 0.500, 0.870], [0.559, 0.251, 0.500], [0.559, 0.749, 0.000], [0.749, 0.441, 0.000], [0.749, 0.559, 0.500], [0.804, 0.085, 0.181], [0.804, 0.085, 0.819], [0.804, 0.915, 0.319], [0.804, 0.915, 0.681], [0.915, 0.196, 0.319], [0.915, 0.196, 0.681], [0.915, 0.804, 0.181], [0.915, 0.804, 0.819], [0.500, 0.500, 0.000], [0.500, 0.500, 0.500], [0.130, 0.285, 0.000], [0.130, 0.715, 0.500], [0.204, 0.430, 0.347], [0.204, 0.430, 0.653], [0.204, 0.570, 0.153], [0.204, 0.570, 0.847], [0.285, 0.130, 0.500], [0.285, 0.870, 0.000], [0.430, 0.204, 0.153], [0.430, 0.204, 0.847], [0.430, 0.796, 0.347], [0.430, 0.796, 0.653], [0.570, 0.204, 0.347], [0.570, 0.204, 0.653], [0.570, 0.796, 0.153], [0.570, 0.796, 0.847], [0.715, 0.130, 0.000], [0.715, 0.870, 0.500], [0.796, 0.430, 0.153], [0.796, 0.430, 0.847], [0.796, 0.570, 0.347], [0.796, 0.570, 0.653], [0.870, 0.285, 0.500], [0.870, 0.715, 0.000]]}

=====

# 3
{"formula": "K3BiI6", "functional": "PBE-GGA", "state": "relaxed", "sg": "Fm-3m", "cell": [[0.000, 6.427, 6.427], [6.427, 0.000, 6.427], [6.427, 6.427, 0.000]], "species": ["K", "K", "K", "Bi", "I", "I", "I", "I", "I", "I"], "fractional_positions": [[0.000, 0.000, 0.000], [0.250, 0.250, 0.250], [0.750, 0.750, 0.750], [0.500, 0.500, 0.500], [0.261, 0.261, 0.739], [0.261, 0.739, 0.261], [0.261, 0.739, 0.739], [0.739, 0.261, 0.261], [0.739, 0.261, 0.739], [0.739, 0.739, 0.261]]}

=====

# 4
{"formula": "K2BiI5O15", "functional": "PBE-GGA", "state": "relaxed", "sg": "Aem2", "cell": [[8.392, 0.000, 0.000], [0.000, 11.739, 4.195], [0.000, -11.739, 4.195]], "species": ["K", "K", "K", "K", "Bi", "Bi", "I", "I", "I", "I", "I", "I", "I", "I", "I", "I", "O", "O", "O", "O", "O", "O", "O", "O", "O", "O", "O", "O", "O", "O", "O", "O", "O", "O", "O", "O", "O", "O", "O", "O", "O", "O", "O", "O", "O", "O"], "fractional_positions": [[0.000, 0.000, 0.000], [0.000, 0.500, 0.500], [0.488, 0.738, 0.238], [0.512, 0.238, 0.738], [0.500, 0.079, 0.079], [0.500, 0.579, 0.579], [0.053, 0.277, 0.777], [0.247, 0.083, 0.354], [0.247, 0.854, 0.583], [0.265, 0.337, 0.128], [0.265, 0.628, 0.837], [0.735, 0.128, 0.337], [0.735, 0.837, 0.628], [0.753, 0.354, 0.083], [0.753, 0.583, 0.854], [0.947, 0.777, 0.277], [0.064, 0.333, 0.179], [0.064, 0.679, 0.833], [0.102, 0.062, 0.562], [0.188, 0.276, 0.892], [0.188, 0.392, 0.776], [0.199, 0.692, 0.357], [0.199, 0.857, 0.192], [0.289, 0.085, 0.211], [0.289, 0.711, 0.585], [0.305, 0.106, 0.948], [0.305, 0.448, 0.606], [0.381, 0.356, 0.272], [0.381, 0.772, 0.856], [0.447, 0.078, 0.410], [0.447, 0.910, 0.578], [0.553, 0.410, 0.078], [0.553, 0.578, 0.910], [0.619, 0.272, 0.356], [0.619, 0.856, 0.772], [0.695, 0.606, 0.448], [0.695, 0.948, 0.106], [0.711, 0.211, 0.085], [0.711, 0.585, 0.711], [0.801, 0.192, 0.857], [0.801, 0.357, 0.692], [0.812, 0.776, 0.392], [0.812, 0.892, 0.276], [0.898, 0.562, 0.062], [0.936, 0.179, 0.333], [0.936, 0.833, 0.679]]}

=====

# 5
{"formula": "KBi6IO9", "functional": "PBE-GGA", "state": "relaxed", "sg": "Ia-3d", "cell": [[-8.815, 8.815, 8.815], [8.815, -8.815, 8.815], [8.815, 8.815, -8.815]], "species": ["K", "K", "K", "K", "K", "K", "K", "K", "Bi", "Bi", "Bi", "Bi", "Bi", "Bi", "Bi", "Bi", "Bi", "Bi", "Bi", "Bi", "Bi", "Bi", "Bi", "Bi", "Bi", "Bi", "Bi", "Bi", "Bi", "Bi", "Bi", "Bi", "Bi", "Bi", "Bi", "Bi", "Bi", "Bi", "Bi", "Bi", "Bi", "Bi", "Bi", "Bi", "Bi", "Bi", "Bi", "Bi", "Bi", "Bi", "Bi", "Bi", "Bi", "Bi", "Bi", "Bi", "I", "I", "I", "I", "I", "I", "I", "I", "O", "O", "O", "O", "O", "O", "O", "O", "O", "O", "O", "O", "O", "O", "O", "O", "O", "O", "O", "O", "O", "O", "O", "O", "O", "O", "O", "O", "O", "O", "O", "O", "O", "O", "O", "O", "O", "O", "O", "O", "O", "O", "O", "O", "O", "O", "O", "O", "O", "O", "O", "O", "O", "O", "O", "O", "O", "O", "O", "O", "O", "O", "O", "O", "O", "O", "O", "O", "O", "O", "O", "O"], "fractional_positions": [[0.000, 0.000, 0.000], [0.000, 0.000, 0.500], [0.000, 0.500, 0.000], [0.000, 0.500, 0.500], [0.500, 0.000, 0.000], [0.500, 0.000, 0.500], [0.500, 0.500, 0.000], [0.500, 0.500, 0.500], [0.010, 0.250, 0.260], [0.010, 0.260, 0.750], [0.020, 0.039, 0.770], [0.020, 0.480, 0.250], [0.039, 0.770, 0.020], [0.230, 0.750, 0.270], [0.230, 0.980, 0.961], [0.240, 0.250, 0.490], [0.240, 0.490, 0.750], [0.250, 0.020, 0.480], [0.250, 0.260, 0.010], [0.250, 0.490, 0.240], [0.250, 0.730, 0.770], [0.250, 0.760, 0.510], [0.250, 0.990, 0.740], [0.260, 0.010, 0.250], [0.260, 0.750, 0.010], [0.270, 0.230, 0.750], [0.270, 0.539, 0.520], [0.461, 0.480, 0.730], [0.480, 0.250, 0.020], [0.480, 0.730, 0.461], [0.490, 0.240, 0.250], [0.490, 0.750, 0.240], [0.510, 0.250, 0.760], [0.510, 0.760, 0.750], [0.520, 0.270, 0.539], [0.520, 0.750, 0.980], [0.539, 0.520, 0.270], [0.730, 0.461, 0.480], [0.730, 0.770, 0.250], [0.740, 0.250, 0.990], [0.740, 0.990, 0.750], [0.750, 0.010, 0.260], [0.750, 0.240, 0.490], [0.750, 0.270, 0.230], [0.750, 0.510, 0.760], [0.750, 0.740, 0.990], [0.750, 0.980, 0.520], [0.760, 0.510, 0.250], [0.760, 0.750, 0.510], [0.770, 0.020, 0.039], [0.770, 0.250, 0.730], [0.961, 0.230, 0.980], [0.980, 0.520, 0.750], [0.980, 0.961, 0.230], [0.990, 0.740, 0.250], [0.990, 0.750, 0.740], [0.000, 0.250, 0.500], [0.000, 0.750, 0.500], [0.250, 0.250, 0.250], [0.250, 0.500, 0.000], [0.500, 0.000, 0.250], [0.500, 0.000, 0.750], [0.750, 0.500, 0.000], [0.750, 0.750, 0.750], [0.062, 0.715, 0.151], [0.062, 0.848, 0.912], [0.064, 0.652, 0.715], [0.064, 0.912, 0.349], [0.088, 0.651, 0.936], [0.088, 0.938, 0.152], [0.105, 0.211, 0.855], [0.105, 0.395, 0.250], [0.145, 0.750, 0.355], [0.145, 0.895, 0.789], [0.151, 0.062, 0.715], [0.151, 0.588, 0.436], [0.152, 0.088, 0.938], [0.152, 0.564, 0.215], [0.211, 0.855, 0.105], [0.215, 0.152, 0.564], [0.215, 0.562, 0.651], [0.250, 0.105, 0.395], [0.250, 0.645, 0.855], [0.285, 0.849, 0.938], [0.285, 0.936, 0.348], [0.289, 0.395, 0.645], [0.348, 0.285, 0.936], [0.348, 0.562, 0.412], [0.349, 0.064, 0.912], [0.349, 0.785, 0.438], [0.355, 0.145, 0.750], [0.355, 0.711, 0.605], [0.395, 0.250, 0.105], [0.395, 0.645, 0.289], [0.412, 0.348, 0.562], [0.412, 0.564, 0.849], [0.436, 0.151, 0.588], [0.436, 0.785, 0.848], [0.438, 0.349, 0.785], [0.438, 0.588, 0.652], [0.562, 0.412, 0.348], [0.562, 0.651, 0.215], [0.564, 0.215, 0.152], [0.564, 0.849, 0.412], [0.588, 0.436, 0.151], [0.588, 0.652, 0.438], [0.605, 0.355, 0.711], [0.605, 0.750, 0.895], [0.645, 0.289, 0.395], [0.645, 0.855, 0.250], [0.651, 0.215, 0.562], [0.651, 0.936, 0.088], [0.652, 0.438, 0.588], [0.652, 0.715, 0.064], [0.711, 0.605, 0.355], [0.715, 0.064, 0.652], [0.715, 0.151, 0.062], [0.750, 0.355, 0.145], [0.750, 0.895, 0.605], [0.785, 0.438, 0.349], [0.785, 0.848, 0.436], [0.789, 0.145, 0.895], [0.848, 0.436, 0.785], [0.848, 0.912, 0.062], [0.849, 0.412, 0.564], [0.849, 0.938, 0.285], [0.855, 0.105, 0.211], [0.855, 0.250, 0.645], [0.895, 0.605, 0.750], [0.895, 0.789, 0.145], [0.912, 0.062, 0.848], [0.912, 0.349, 0.064], [0.936, 0.088, 0.651], [0.936, 0.348, 0.285], [0.938, 0.152, 0.088], [0.938, 0.285, 0.849]]}

=====

# 6
{"formula": "K2RbBiI6", "functional": "PBE-GGA", "state": "relaxed", "sg": "Fm-3m", "cell": [[0.000, 6.541, 6.541], [6.541, 0.000, 6.541], [6.541, 6.541, 0.000]], "species": ["K", "K", "Rb", "Bi", "I", "I", "I", "I", "I", "I"], "fractional_positions": [[0.250, 0.250, 0.250], [0.750, 0.750, 0.750], [0.000, 0.000, 0.000], [0.500, 0.500, 0.500], [0.265, 0.265, 0.735], [0.265, 0.735, 0.265], [0.265, 0.735, 0.735], [0.735, 0.265, 0.265], [0.735, 0.265, 0.735], [0.735, 0.735, 0.265]]}

=====

# 7
{"formula": "LiBi2I2O2", "functional": "PBE-GGA", "state": "relaxed", "e_above_lowest_polymorph_mev_per_atom": 0, "sg": "P-4m2", "cell": [[4.233, 0.000, 0.000], [0.000, 4.233, 0.000], [0.000, 0.000, 10.000]], "species": ["Li", "Bi", "Bi", "I", "I", "O", "O"], "fractional_positions": [[0.000, 0.000, 0.000], [0.000, 0.500, 0.608], [0.500, 0.000, 0.392], [0.000, 0.500, 0.178], [0.500, 0.000, 0.822], [0.000, 0.000, 0.500], [0.500, 0.500, 0.500]]}

=====

# 8
{"formula": "LiBi2I2O2", "functional": "PBE-GGA", "state": "relaxed", "e_above_lowest_polymorph_mev_per_atom": 176, "sg": "Pmm2", "cell": [[4.224, 0.000, 0.000], [0.000, 4.549, 0.000], [0.000, 0.000, 10.089]], "species": ["Li", "Bi", "Bi", "I", "I", "O", "O"], "fractional_positions": [[0.000, 0.000, 0.000], [0.000, 0.500, 0.843], [0.500, 0.000, 0.649], [0.000, 0.500, 0.479], [0.500, 0.000, 0.133], [0.000, 0.000, 0.779], [0.500, 0.500, 0.751]]}

=====

Ordered theoretical density results: 5688, 6723, 3401, 4667, 7582, 3364, 6587, 6088; unit kg/m3.
Ordered formation energy from the elements results: -0.52, -0.29, -1.21, -1.18, -1.63, -1.20, -1.13, -0.95; unit eV per atom.